# 1
Entry from the Materials Project: a relaxed Ta2FeOs crystal (GGA-PBE).

a b c (Å): 4.4460 6.3160 4.4482
angles (deg): 90.00 89.98 90.00
Closest atoms and distances in Å follow each position.
Fractional positions:
Ta 0.0000 0.0000 0.0000  4 Os 2.73, 4 Fe 2.73
Ta 0.5000 0.5000 0.5000  4 Os 2.73, 4 Fe 2.73
Ta 0.0000 0.5000 0.0000  4 Os 2.73, 4 Fe 2.73
Ta 0.5000 0.0000 0.5000  4 Os 2.73, 4 Fe 2.73
Fe 0.5000 0.2500 0.0000  8 Ta 2.73
Fe 0.0000 0.7500 0.5000  8 Ta 2.73
Os 0.0000 0.2500 0.5000  8 Ta 2.73
Os 0.5000 0.7500 0.0000  8 Ta 2.73

Results
energy of formation from the pure elements	-0.274	eV/atom
VASP energy	-11.13	eV/atom

# 2
Entry from the Materials Project: a relaxed Zr2FeOs crystal (GGA-PBE).

a b c (Å): 4.5859 4.5859 4.5859
angles (deg): 60.00 60.00 60.00
Closest atoms and distances in Å follow each position.
Fractional positions:
Zr 0.2500 0.2500 0.2500  4 Fe 2.81, 4 Os 2.81
Zr 0.7500 0.7500 0.7500  4 Fe 2.81, 4 Os 2.81
Fe 0.0000 0.0000 0.0000  8 Zr 2.81
Os 0.5000 0.5000 0.5000  8 Zr 2.81

Results
energy of formation from the pure elements	-0.364	eV/atom
symmetry	Fm-3m (225)
VASP energy	-9.56	eV/atom

# 3
Entry from the Materials Project: a relaxed Fe4P crystal (GGA-PBE).

a b c (Å): 4.1363 4.1363 4.1363
angles (deg): 90.00 90.00 90.00
Closest atoms and distances in Å follow each position.
Fractional positions:
Fe 0.0000 0.0000 0.0000  12 Fe 2.92
Fe 0.0000 0.5000 0.5000  2 P 2.07
Fe 0.5000 0.0000 0.5000  2 P 2.07
Fe 0.5000 0.5000 0.0000  2 P 2.07
P 0.5000 0.5000 0.5000  6 Fe 2.07

Results
total magnetization	9.45	Bohr magnetons per cell
energy of formation from the pure elements	0.411	eV/atom
symmetry	Pm-3m (221)
VASP energy	-7.45	eV/atom

# 4
Entry from the Materials Project: a relaxed FeP2 crystal (GGA-PBE).

a b c (Å): 4.9614 5.6454 2.7238
angles (deg): 90.00 90.00 90.00
Closest atoms and distances in Å follow each position.
Fractional positions:
Fe 0.0000 0.0000 0.0000  6 P 2.24-2.25
Fe 0.5000 0.5000 0.5000  6 P 2.24-2.25
P 0.1707 0.3678 0.0000  3 Fe 2.24-2.25, 1 P 2.26
P 0.3293 0.8678 0.5000  3 Fe 2.24-2.25, 1 P 2.26
P 0.6707 0.1322 0.5000  3 Fe 2.24-2.25, 1 P 2.26
P 0.8293 0.6322 0.0000  3 Fe 2.24-2.25, 1 P 2.26

Results
energy of formation from the pure elements	-0.537	eV/atom
symmetry	Pnnm (58)
VASP energy	-6.97	eV/atom

# 5
Entry from the Materials Project: a relaxed FePS crystal (GGA-PBE).

a b c (Å): 5.5518 5.5197 5.5902
angles (deg): 90.00 111.51 90.00
Closest atoms and distances in Å follow each position.
Fractional positions:
Fe 0.2236 0.0002 0.2094  3 S 2.20-2.21, 3 P 2.28-2.30
Fe 0.2236 0.4998 0.7094  3 S 2.20-2.21, 3 P 2.28-2.30
Fe 0.7764 0.9998 0.7906  3 S 2.20-2.21, 3 P 2.28-2.30
Fe 0.7764 0.5002 0.2906  3 S 2.20-2.21, 3 P 2.28-2.30
P 0.3528 0.1267 0.6300  1 S 2.25, 3 Fe 2.28-2.30
P 0.3528 0.3733 0.1300  1 S 2.25, 3 Fe 2.28-2.30
P 0.6472 0.6267 0.8700  1 S 2.25, 3 Fe 2.28-2.30
P 0.6472 0.8733 0.3700  1 S 2.25, 3 Fe 2.28-2.30
S 0.1605 0.6283 0.3188  3 Fe 2.20-2.21, 1 P 2.25
S 0.1605 0.8717 0.8188  3 Fe 2.20-2.21, 1 P 2.25
S 0.8395 0.1283 0.1812  3 Fe 2.20-2.21, 1 P 2.25
S 0.8395 0.3717 0.6812  3 Fe 2.20-2.21, 1 P 2.25

Results
energy of formation from the pure elements	-0.700	eV/atom
symmetry	P2_1/c (14)
VASP energy	-6.54	eV/atom
energy with MP2020 corrections	-80.48	eV for the cell shown

# 6
Entry from the Materials Project: a relaxed FeP2S6 crystal (GGA-PBE).

a b c (Å): 5.8712 5.8712 7.0278
angles (deg): 90.08 90.08 120.00
Closest atoms and distances in Å follow each position.
Fractional positions:
Fe 0.0000 0.0000 0.0000  6 S 2.28-2.40
P 0.6725 0.3253 0.1526  3 S 2.04-2.06, 1 P 2.14
P 0.6747 0.3275 0.8474  3 S 2.04-2.06, 1 P 2.14
S 0.3126 0.2794 0.7779  1 P 2.06
S 0.3174 0.0107 0.2216  1 P 2.04
S 0.7196 0.0104 0.7793  1 P 2.06, 1 Fe 2.28
S 0.7206 0.6874 0.2221  1 P 2.06
S 0.9893 0.6826 0.7784  1 P 2.04
S 0.9896 0.2804 0.2207  1 P 2.06, 1 Fe 2.28

Results
total magnetization	2.00	Bohr magnetons per cell
energy of formation from the pure elements	-0.501	eV/atom
symmetry	C2 (5)
VASP energy	-5.07	eV/atom
energy with MP2020 corrections	-48.62	eV for the cell shown

# 7
Entry from the Materials Project: a relaxed ScFe4P2 crystal (GGA-PBE).

a b c (Å): 6.8683 6.8683 3.6013
angles (deg): 90.00 90.00 90.00
Closest atoms and distances in Å follow each position.
Fractional positions:
Sc 0.0000 0.0000 0.0000  6 P 2.73-2.78, 8 Fe 3.01
Sc 0.5000 0.5000 0.5000  6 P 2.73-2.78, 8 Fe 3.01
Fe 0.0836 0.3403 0.5000  3 P 2.24-2.29, 2 Fe 2.48-2.49
Fe 0.1597 0.5836 0.0000  3 P 2.24-2.29, 2 Fe 2.48-2.49
Fe 0.3403 0.0836 0.5000  3 P 2.24-2.29, 2 Fe 2.48-2.49
Fe 0.4164 0.8403 0.0000  3 P 2.24-2.29, 2 Fe 2.48-2.49
Fe 0.5836 0.1597 0.0000  3 P 2.24-2.29, 2 Fe 2.48-2.49
Fe 0.6597 0.9164 0.5000  3 P 2.24-2.29, 2 Fe 2.48-2.49
Fe 0.8403 0.4164 0.0000  3 P 2.24-2.29, 2 Fe 2.48-2.49
Fe 0.9164 0.6597 0.5000  3 P 2.24-2.29, 2 Fe 2.48-2.49
P 0.2186 0.7814 0.5000  6 Fe 2.24-2.29
P 0.2814 0.2814 0.0000  6 Fe 2.24-2.29
P 0.7186 0.7186 0.0000  6 Fe 2.24-2.29
P 0.7814 0.2186 0.5000  6 Fe 2.24-2.29

Results
energy of formation from the pure elements	-0.704	eV/atom
symmetry	P4_2/mnm (136)
VASP energy	-8.00	eV/atom

# 8
Entry from the Materials Project: a relaxed FePSe3 crystal (GGA-PBE).

a b c (Å): 7.2764 7.2764 7.2764
angles (deg): 50.14 50.14 50.14
Closest atoms and distances in Å follow each position.
Fractional positions:
Fe 0.1645 0.1645 0.1645  6 Se 2.40-2.41
Fe 0.8355 0.8355 0.8355  6 Se 2.40-2.41
P 0.4430 0.4430 0.4430  1 P 2.17, 3 Se 2.35
P 0.5570 0.5570 0.5570  1 P 2.17, 3 Se 2.35
Se 0.0458 0.4309 0.7986  1 P 2.35, 2 Fe 2.40-2.41
Se 0.2014 0.9542 0.5691  1 P 2.35, 2 Fe 2.40-2.41
Se 0.4309 0.7986 0.0458  1 P 2.35, 2 Fe 2.40-2.41
Se 0.5691 0.2014 0.9542  1 P 2.35, 2 Fe 2.40-2.41
Se 0.7986 0.0458 0.4309  1 P 2.35, 2 Fe 2.40-2.41
Se 0.9542 0.5691 0.2014  1 P 2.35, 2 Fe 2.40-2.41

Results
total magnetization	0.00	Bohr magnetons per cell
energy of formation from the pure elements	-0.416	eV/atom
symmetry	R-3 (148)
VASP energy	-5.01	eV/atom
energy with MP2020 corrections	-52.90	eV for the cell shown

# 9
Entry from the Materials Project: a relaxed Fe2SiP crystal (GGA-PBE).

a b c (Å): 2.9542 5.8983 5.2594
angles (deg): 90.00 90.00 90.00
Closest atoms and distances in Å follow each position.
Fractional positions:
Fe 0.0000 0.0482 0.0000  4 P 2.26-2.37, 2 Si 2.28-2.34
Fe 0.0000 0.9518 0.5000  4 P 2.26-2.37, 2 Si 2.28-2.34
Fe 0.5000 0.4425 0.9965  2 P 2.24-2.38, 4 Si 2.29-2.34
Fe 0.5000 0.5575 0.4965  2 P 2.24-2.38, 4 Si 2.29-2.34
Si 0.0000 0.3129 0.6844  6 Fe 2.28-2.34
Si 0.0000 0.6871 0.1844  6 Fe 2.28-2.34
P 0.5000 0.1894 0.3135  6 Fe 2.24-2.38
P 0.5000 0.8106 0.8135  6 Fe 2.24-2.38

Results
total magnetization	2.00	Bohr magnetons per cell
energy of formation from the pure elements	-0.491	eV/atom
symmetry	Pmc2_1 (26)
VASP energy	-7.44	eV/atom

Which of these has the lowest VASP energy?
Ta2FeOs

Repeat the third record exactly.
Entry from the Materials Project: a relaxed Fe4P crystal (GGA-PBE).

a b c (Å): 4.1363 4.1363 4.1363
angles (deg): 90.00 90.00 90.00
Closest atoms and distances in Å follow each position.
Fractional positions:
Fe 0.0000 0.0000 0.0000  12 Fe 2.92
Fe 0.0000 0.5000 0.5000  2 P 2.07
Fe 0.5000 0.0000 0.5000  2 P 2.07
Fe 0.5000 0.5000 0.0000  2 P 2.07
P 0.5000 0.5000 0.5000  6 Fe 2.07

Results
total magnetization	9.45	Bohr magnetons per cell
energy of formation from the pure elements	0.411	eV/atom
symmetry	Pm-3m (221)
VASP energy	-7.45	eV/atom